Record 1
Crystalline SrCaCuO3 at its relaxed geometry. Source: the Materials Project database, functional GGA-PBE.

Cell lengths 3.4263, 3.9205, 12.4375 Å; angles 90.00, 90.00, 90.00 degrees
Last column: nearest neighbours and their distance in Å.
Space group Imm2 (No. 44)
Inequivalent atoms, fractional coordinates:
Sr  0.0000  0.0000  0.0000 [2 per cell]  7 O 2.44-2.61
Ca  0.0000  0.0000  0.2956 [2 per cell]  7 O 2.40-2.61
Cu  0.0000  0.0000  0.6489 [2 per cell]  4 O 1.93-1.99
O  0.0000  0.0000  0.4886 [2 per cell]  1 Cu 1.99
O  0.0000  0.0000  0.8040 [2 per cell]  1 Cu 1.93
O  0.0000  0.5000  0.6553 [2 per cell]  2 Cu 1.96

The spin magnetization comes out at 0.00 μB/cell. Its energy with MP2020 corrections is -74.9 eV/cell. The calculation puts the electronic total energy at -70.7 eV for the cell shown.



Record 2
Crystalline SbC4S2Cl3O2 at its relaxed geometry. Source: the Materials Project database, functional GGA-PBE.

Cell lengths 9.3780, 15.0566, 11.7719 Å; angles 90.00, 115.22, 90.00 degrees
Last column: nearest neighbours and their distance in Å.
Space group P2_1/c (No. 14)
Inequivalent atoms, fractional coordinates:
Sb  0.2102  0.2471  0.4123 [4 per cell]  3 Cl 2.41-2.42, 1 O 2.69
C  0.2948  0.5589  0.2054 [4 per cell]  1 C 1.27
C  0.3185  0.5656  0.7100 [4 per cell]  1 C 1.26
C  0.4217  0.5151  0.2417 [4 per cell]  2 C 1.27-1.30
C  0.4467  0.5274  0.7295 [4 per cell]  2 C 1.26-1.30
S  0.1283  0.6047  0.1191 [4 per cell]  1 O 1.51, 1 C 1.61
S  0.1740  0.6141  0.7252 [4 per cell]  1 O 1.50, 1 C 1.61
Cl  0.1774  0.2375  0.6046 [4 per cell]  1 Sb 2.41
Cl  0.3000  0.0960  0.4242 [4 per cell]  1 Sb 2.41
Cl  0.4693  0.1869  0.0098 [4 per cell]  1 Sb 2.42
O  0.0194  0.6062  0.6123 [4 per cell]  1 S 1.50
O  0.0792  0.6746  0.1875 [4 per cell]  1 S 1.51

The spin magnetization comes out at 0.00 μB/cell. Its energy with MP2020 corrections is -266.6 eV/cell. The calculation puts the electronic total energy at -261.1 eV for the cell shown.



Record 3
Crystalline Na7Ta2In2Si5PO24 at its relaxed geometry. Source: the Materials Project database, functional GGA-PBE.

Cell lengths 9.1549, 9.1575, 22.6176 Å; angles 89.84, 89.96, 60.08 degrees
Last column: nearest neighbours and their distance in Å.
Space group P1 (No. 1)
Inequivalent atoms, fractional coordinates:
Na  0.0000  0.0000  0.0000 [1 per cell]  5 O 2.43-2.71
Na  0.0004  0.2682  0.4996 [1 per cell]  4 O 2.43-2.57
Na  0.0041  0.6276  0.2525 [1 per cell]  6 O 2.48-2.67
Na  0.0097  0.6226  0.7534 [1 per cell]  6 O 2.45-2.69
Na  0.0537  0.9305  0.6669 [1 per cell]  5 O 2.42-2.69
Na  0.0555  0.2783  0.1662 [1 per cell]  4 O 2.36-2.58
Na  0.3144  0.6642  0.1684 [1 per cell]  5 O 2.39-2.62
Na  0.3217  0.2817  0.6654 [1 per cell]  4 O 2.42-2.64
Na  0.3338  0.3339  0.3330 [1 per cell]  5 O 2.40-2.61
Na  0.3356  0.6005  0.8329 [1 per cell]  4 O 2.40-2.58
Na  0.3489  0.9586  0.5863 [1 per cell]  6 O 2.50-2.67
Na  0.3517  0.9651  0.0870 [1 per cell]  5 O 2.42-2.67
Na  0.3868  0.2647  0.0008 [1 per cell]  5 O 2.42-2.68
Na  0.3879  0.6111  0.5000 [1 per cell]  4 O 2.40-2.58
Na  0.6527  0.9992  0.5001 [1 per cell]  5 O 2.42-2.68
Na  0.6580  0.6129  0.9979 [1 per cell]  4 O 2.41-2.66
Na  0.6684  0.6662  0.6666 [1 per cell]  5 O 2.44-2.69
Na  0.6812  0.3010  0.4187 [1 per cell]  6 O 2.48-2.74
Na  0.6888  0.2926  0.9183 [1 per cell]  6 O 2.51-2.70
Na  0.7214  0.9472  0.8331 [1 per cell]  5 O 2.42-2.59
Na  0.9903  0.9470  0.3329 [1 per cell]  4 O 2.39-2.58
Ta  0.0136  0.6262  0.6012 [1 per cell]  6 O 1.97-2.05
Ta  0.0145  0.6291  0.1012 [1 per cell]  6 O 1.96-2.17
Ta  0.3443  0.9565  0.4347 [1 per cell]  6 O 1.94-2.10
Ta  0.3438  0.9571  0.9349 [1 per cell]  6 O 1.95-2.08
Ta  0.6802  0.2943  0.2679 [1 per cell]  6 O 1.97-2.12
Ta  0.6876  0.2936  0.7678 [1 per cell]  5 O 1.91-2.03
In  0.0125  0.6235  0.3972 [1 per cell]  6 O 2.04-2.24
In  0.0117  0.6235  0.8977 [1 per cell]  6 O 2.04-2.24
In  0.3473  0.9576  0.7320 [1 per cell]  6 O 2.06-2.18
In  0.3482  0.9614  0.2310 [1 per cell]  6 O 2.07-2.22
In  0.6815  0.2881  0.0653 [1 per cell]  6 O 2.06-2.18
In  0.6813  0.2920  0.5652 [1 per cell]  6 O 2.08-2.19
Si  0.0144  0.9176  0.4964 [1 per cell]  4 O 1.59-1.69
Si  0.0152  0.3334  0.9988 [1 per cell]  4 O 1.58-1.69
Si  0.0506  0.2556  0.3303 [1 per cell]  4 O 1.60-1.71
Si  0.0512  0.9618  0.8306 [1 per cell]  4 O 1.60-1.69
Si  0.3072  0.3314  0.4970 [1 per cell]  4 O 1.59-1.70
Si  0.3066  0.6261  0.9967 [1 per cell]  4 O 1.60-1.69
Si  0.3511  0.6641  0.3299 [1 per cell]  4 O 1.60-1.69
Si  0.3867  0.2909  0.1638 [1 per cell]  4 O 1.60-1.70
Si  0.3868  0.5842  0.6644 [1 per cell]  4 O 1.60-1.69
Si  0.6428  0.6631  0.8306 [1 per cell]  4 O 1.60-1.71
Si  0.6820  0.9991  0.6646 [1 per cell]  4 O 1.60-1.68
Si  0.7203  0.6276  0.4977 [1 per cell]  4 O 1.58-1.70
Si  0.7204  0.9179  0.9967 [1 per cell]  4 O 1.60-1.69
Si  0.9723  0.9968  0.1645 [1 per cell]  4 O 1.60-1.69
Si  0.9753  0.2939  0.6634 [1 per cell]  4 O 1.60-1.69
P  0.3494  0.2508  0.8308 [1 per cell]  4 O 1.52-1.59
P  0.6375  0.9610  0.3309 [1 per cell]  4 O 1.50-1.60
P  0.6833  0.5834  0.1643 [1 per cell]  4 O 1.52-1.60
O  0.0313  0.7963  0.8362 [1 per cell]  1 Si 1.62
O  0.0358  0.4370  0.3355 [1 per cell]  1 Si 1.60
O  0.0485  0.4260  0.0577 [1 per cell]  1 Si 1.69
O  0.0486  0.7897  0.5549 [1 per cell]  1 Si 1.69
O  0.1514  0.1233  0.3883 [1 per cell]  1 Si 1.71
O  0.1507  0.9884  0.8889 [1 per cell]  1 Si 1.69
O  0.1620  0.9269  0.7721 [1 per cell]  1 Si 1.60
O  0.1631  0.1358  0.6709 [1 per cell]  1 Si 1.61
O  0.1627  0.1772  0.2722 [1 per cell]  1 Si 1.60
O  0.1629  0.9655  0.1694 [1 per cell]  1 Si 1.62
O  0.1771  0.6605  0.0548 [1 per cell]  1 Si 1.69
O  0.1778  0.4271  0.5553 [1 per cell]  1 Si 1.70
O  0.1859  0.6434  0.3357 [1 per cell]  1 Si 1.62
O  0.1932  0.1465  0.9913 [1 per cell]  1 Si 1.68
O  0.1938  0.9261  0.4913 [1 per cell]  1 Si 1.69
O  0.1974  0.4710  0.1593 [1 per cell]  1 Si 1.70
O  0.2001  0.5930  0.6589 [1 per cell]  1 Si 1.68
O  0.2035  0.4304  0.8366 [1 per cell]  1 P 1.52
O  0.2334  0.5885  0.9383 [1 per cell]  1 Si 1.60
O  0.2344  0.4442  0.4389 [1 per cell]  1 Si 1.59
O  0.3141  0.8056  0.9915 [1 per cell]  1 Si 1.68
O  0.3175  0.1441  0.4908 [1 per cell]  1 Si 1.68
O  0.3173  0.7754  0.2716 [1 per cell]  1 Si 1.60
O  0.3244  0.1763  0.7744 [1 per cell]  1 P 1.52
O  0.3525  0.1351  0.1688 [1 per cell]  1 Si 1.61
O  0.3585  0.7727  0.6692 [1 per cell]  1 Si 1.62
O  0.3754  0.1318  0.8858 [1 per cell]  1 P 1.59
O  0.3773  0.7634  0.3886 [1 per cell]  1 Si 1.69
O  0.4827  0.4556  0.7224 [1 per cell]  1 Si 1.69
O  0.4850  0.3238  0.2213 [1 per cell]  1 Si 1.69
O  0.4862  0.2720  0.1038 [1 per cell]  1 Si 1.60
O  0.4951  0.3034  0.5029 [1 per cell]  1 Si 1.61
O  0.4961  0.4711  0.0041 [1 per cell]  1 Si 1.61
O  0.4978  0.5108  0.6058 [1 per cell]  1 Si 1.60
O  0.5112  0.7643  0.8884 [1 per cell]  1 Si 1.71
O  0.5193  0.2567  0.8273 [1 per cell]  1 P 1.58
O  0.5203  0.9734  0.6705 [1 per cell]  1 Si 1.62
O  0.5212  0.9907  0.3869 [1 per cell]  1 P 1.59
O  0.5222  0.4727  0.3241 [1 per cell]  1 Si 1.67
O  0.5282  0.7557  0.1726 [1 per cell]  1 P 1.52
O  0.5324  0.9292  0.9907 [1 per cell]  1 Si 1.68
O  0.5342  0.8061  0.4912 [1 per cell]  1 Si 1.68
O  0.5597  0.9343  0.2766 [1 per cell]  1 P 1.50
O  0.5656  0.7748  0.7720 [1 per cell]  1 Si 1.61
O  0.6411  0.4811  0.8254 [1 per cell]  1 Si 1.68
O  0.6445  0.1320  0.3255 [1 per cell]  1 P 1.60
O  0.6450  0.1083  0.6054 [1 per cell]  1 Si 1.60
O  0.6510  0.5124  0.1079 [1 per cell]  1 P 1.53
O  0.6905  0.4686  0.5032 [1 per cell]  1 Si 1.61
O  0.6919  0.1061  0.0025 [1 per cell]  1 Si 1.62
O  0.7111  0.4589  0.2180 [1 per cell]  1 P 1.60
O  0.7135  0.0962  0.7222 [1 per cell]  1 Si 1.68
O  0.8137  0.6611  0.5568 [1 per cell]  1 Si 1.70
O  0.8185  0.8178  0.3368 [1 per cell]  1 P 1.52
O  0.8199  0.7845  0.0534 [1 per cell]  1 Si 1.69
O  0.8246  0.6475  0.8356 [1 per cell]  1 Si 1.60
O  0.8317  0.8468  0.9383 [1 per cell]  1 Si 1.60
O  0.8398  0.5873  0.4424 [1 per cell]  1 Si 1.58
O  0.8415  0.3263  0.7200 [1 per cell]  1 Si 1.69
O  0.8470  0.0994  0.2223 [1 per cell]  1 Si 1.69
O  0.8522  0.5869  0.1603 [1 per cell]  1 P 1.57
O  0.8547  0.3054  0.0044 [1 per cell]  1 Si 1.62
O  0.8565  0.1059  0.5023 [1 per cell]  1 Si 1.61
O  0.8601  0.1332  0.8253 [1 per cell]  1 Si 1.67
O  0.8597  0.8126  0.6590 [1 per cell]  1 Si 1.68
O  0.8675  0.2562  0.3246 [1 per cell]  1 Si 1.68
O  0.9015  0.1116  0.1062 [1 per cell]  1 Si 1.60
O  0.9035  0.2538  0.6050 [1 per cell]  1 Si 1.60
O  0.9749  0.4510  0.9426 [1 per cell]  1 Si 1.58
O  0.9794  0.8430  0.4380 [1 per cell]  1 Si 1.59
O  0.9817  0.4721  0.6591 [1 per cell]  1 Si 1.66
O  0.9868  0.8079  0.1584 [1 per cell]  1 Si 1.67

The spin magnetization comes out at 0.00 μB/cell. Its energy with MP2020 corrections is -912.5 eV/cell. The calculation puts the electronic total energy at -863.1 eV for the cell shown.